Compound: GdWBrO4
Source: Materials Project
Functional: GGA+U
Structure: optimized geometry

Values from the calculation:
Formation energy from the elements   -2.58 eV/atom

a = 7.018 Å, b = 7.402 Å, c = 11.244 Å
α = 105.59°, β = 107.62°, γ = 92.87°
Sites, in units of the cell vectors:
Gd 0.112 0.348 0.231
Gd 0.149 0.122 0.730
Gd 0.851 0.878 0.270
Gd 0.888 0.652 0.769
W 0.232 0.814 0.134
W 0.271 0.591 0.628
W 0.729 0.409 0.372
W 0.768 0.186 0.866
Br 0.239 0.008 0.482
Br 0.305 0.283 0.019
Br 0.695 0.717 0.981
Br 0.761 0.992 0.518
O 0.107 0.021 0.183
O 0.126 0.649 0.200
O 0.156 0.795 0.701
O 0.166 0.729 0.958
O 0.171 0.504 0.451
O 0.210 0.415 0.701
O 0.459 0.355 0.326
O 0.497 0.133 0.793
O 0.503 0.867 0.207
O 0.541 0.645 0.674
O 0.790 0.585 0.299
O 0.829 0.496 0.549
O 0.834 0.271 0.042
O 0.844 0.205 0.299
O 0.874 0.351 0.800
O 0.893 0.979 0.817


Compound: Rb2CoO3
Source: Materials Project
Functional: GGA+U
Structure: optimized geometry

Values from the calculation:
Formation energy from the elements   -1.38 eV/atom

a = 6.666 Å, b = 13.668 Å, c = 16.936 Å
α = 90.00°, β = 107.73°, γ = 90.00°
Sites, in units of the cell vectors:
Rb 0.005 0.112 0.418
Rb 0.005 0.388 0.918
Rb 0.121 0.697 0.304
Rb 0.121 0.803 0.804
Rb 0.126 0.121 0.859
Rb 0.126 0.379 0.359
Rb 0.264 0.587 0.531
Rb 0.264 0.913 0.031
Rb 0.361 0.507 0.777
Rb 0.361 0.993 0.277
Rb 0.436 0.654 0.990
Rb 0.436 0.846 0.490
Rb 0.564 0.154 0.510
Rb 0.564 0.346 0.010
Rb 0.639 0.007 0.723
Rb 0.639 0.493 0.223
Rb 0.736 0.087 0.969
Rb 0.736 0.413 0.469
Rb 0.874 0.621 0.641
Rb 0.874 0.879 0.141
Rb 0.879 0.197 0.196
Rb 0.879 0.303 0.696
Rb 0.995 0.612 0.082
Rb 0.995 0.888 0.582
Co 0.159 0.119 0.632
Co 0.159 0.381 0.132
Co 0.271 0.154 0.103
Co 0.271 0.346 0.603
Co 0.470 0.243 0.292
Co 0.470 0.257 0.792
Co 0.530 0.743 0.208
Co 0.530 0.757 0.708
Co 0.729 0.654 0.397
Co 0.729 0.846 0.897
Co 0.841 0.619 0.868
Co 0.841 0.881 0.368
O 0.078 0.590 0.851
O 0.078 0.910 0.351
O 0.092 0.061 0.111
O 0.092 0.439 0.611
O 0.106 0.241 0.572
O 0.106 0.259 0.072
O 0.268 0.725 0.662
O 0.268 0.775 0.162
O 0.288 0.047 0.578
O 0.288 0.453 0.078
O 0.300 0.190 0.340
O 0.300 0.310 0.840
O 0.336 0.145 0.740
O 0.336 0.355 0.240
O 0.410 0.136 0.032
O 0.410 0.364 0.532
O 0.470 0.160 0.201
O 0.470 0.340 0.701
O 0.530 0.660 0.299
O 0.530 0.840 0.799
O 0.590 0.636 0.468
O 0.590 0.864 0.968
O 0.664 0.645 0.760
O 0.664 0.855 0.260
O 0.700 0.690 0.160
O 0.700 0.810 0.660
O 0.712 0.547 0.922
O 0.712 0.953 0.422
O 0.732 0.225 0.838
O 0.732 0.275 0.338
O 0.894 0.741 0.928
O 0.894 0.759 0.428
O 0.908 0.561 0.389
O 0.908 0.939 0.889
O 0.922 0.090 0.649
O 0.922 0.410 0.149


Compound: CaMo2O4
Source: Materials Project
Functional: GGA+U
Structure: optimized geometry

Values from the calculation:
Formation energy from the elements   -2.20 eV/atom

a = 6.575 Å, b = 6.575 Å, c = 16.150 Å
α = 90.00°, β = 90.00°, γ = 120.00°
Sites, in units of the cell vectors:
Ca 0.000 0.000 0.000
Ca 0.000 0.000 0.242
Ca 0.000 0.000 0.619
Ca 0.333 0.667 0.574
Ca 0.667 0.333 0.283
Ca 0.667 0.333 0.912
Mo 0.000 0.500 0.120
Mo 0.170 0.339 0.788
Mo 0.170 0.830 0.788
Mo 0.330 0.165 0.454
Mo 0.333 0.667 0.339
Mo 0.333 0.667 0.954
Mo 0.500 0.000 0.120
Mo 0.500 0.500 0.120
Mo 0.661 0.830 0.788
Mo 0.667 0.333 0.672
Mo 0.835 0.165 0.454
Mo 0.835 0.670 0.454
O 0.000 0.000 0.385
O 0.000 0.000 0.854
O 0.038 0.519 0.863
O 0.152 0.304 0.525
O 0.152 0.848 0.525
O 0.188 0.377 0.039
O 0.188 0.812 0.039
O 0.324 0.162 0.713
O 0.333 0.667 0.192
O 0.333 0.667 0.719
O 0.358 0.179 0.189
O 0.481 0.519 0.863
O 0.481 0.962 0.863
O 0.506 0.013 0.378
O 0.506 0.494 0.378
O 0.623 0.812 0.039
O 0.667 0.333 0.050
O 0.667 0.333 0.524
O 0.696 0.848 0.525
O 0.821 0.179 0.189
O 0.821 0.642 0.189
O 0.838 0.162 0.713
O 0.838 0.676 0.713
O 0.987 0.494 0.378


Compound: NdWNO3
Source: Materials Project
Functional: GGA+U
Structure: optimized geometry

Values from the calculation:
Formation energy from the elements   -2.26 eV/atom

a = 5.274 Å, b = 5.486 Å, c = 6.733 Å
α = 112.41°, β = 108.73°, γ = 92.17°
Sites, in units of the cell vectors:
Nd 0.000 0.000 0.000
Nd 0.248 0.733 0.488
W 0.509 0.498 0.980
W 0.733 0.233 0.528
N 0.430 0.999 0.318
N 0.590 0.186 0.799
O 0.254 0.654 0.825
O 0.333 0.408 0.146
O 0.667 0.592 0.664
O 0.850 0.715 0.155
O 0.912 0.306 0.345
O 0.998 0.049 0.653


Compound: Co2C2O7
Source: Materials Project
Functional: GGA+U
Structure: optimized geometry

Values from the calculation:
Formation energy from the elements   -1.44 eV/atom

a = 8.396 Å, b = 8.396 Å, c = 8.229 Å
α = 92.32°, β = 92.32°, γ = 59.50°
Sites, in units of the cell vectors:
Co 0.000 0.000 0.216
Co 0.000 0.000 0.784
Co 0.337 0.328 0.763
Co 0.337 0.339 0.329
Co 0.661 0.663 0.671
Co 0.672 0.663 0.237
C 0.000 0.658 0.768
C 0.002 0.664 0.230
C 0.336 0.998 0.770
C 0.342 0.000 0.232
C 0.661 0.332 0.232
C 0.668 0.339 0.768
O 0.070 0.763 0.290
O 0.098 0.486 0.233
O 0.165 0.572 0.835
O 0.177 0.068 0.285
O 0.237 0.930 0.710
O 0.259 0.165 0.832
O 0.332 0.332 0.543
O 0.425 0.093 0.245
O 0.428 0.835 0.165
O 0.483 0.420 0.231
O 0.514 0.902 0.767
O 0.580 0.517 0.769
O 0.586 0.256 0.823
O 0.668 0.668 0.457
O 0.744 0.414 0.177
O 0.756 0.167 0.286
O 0.833 0.244 0.714
O 0.835 0.741 0.168
O 0.907 0.575 0.755
O 0.932 0.823 0.715
O 0.997 0.003 0.000


Compound: NiAs3H3OF18
Source: Materials Project
Functional: GGA+U
Structure: optimized geometry

Values from the calculation:
Formation energy from the elements   -2.21 eV/atom

a = 10.429 Å, b = 14.047 Å, c = 9.575 Å
α = 90.00°, β = 90.00°, γ = 90.00°
Sites, in units of the cell vectors:
Ni 0.000 0.000 0.000
Ni 0.000 0.500 0.000
Ni 0.500 0.000 0.500
Ni 0.500 0.500 0.500
As 0.022 0.250 0.109
As 0.205 0.051 0.697
As 0.205 0.449 0.697
As 0.295 0.551 0.197
As 0.295 0.949 0.197
As 0.478 0.750 0.609
As 0.522 0.250 0.391
As 0.705 0.051 0.803
As 0.705 0.449 0.803
As 0.795 0.551 0.303
As 0.795 0.949 0.303
As 0.978 0.750 0.891
H 0.007 0.750 0.401
H 0.123 0.693 0.479
H 0.123 0.807 0.479
H 0.377 0.193 0.979
H 0.377 0.307 0.979
H 0.493 0.250 0.901
H 0.507 0.750 0.099
H 0.623 0.693 0.021
H 0.623 0.807 0.021
H 0.877 0.193 0.521
H 0.877 0.307 0.521
H 0.993 0.250 0.599
O 0.069 0.750 0.480
O 0.431 0.250 0.980
O 0.569 0.750 0.020
O 0.931 0.250 0.520
F 0.024 0.120 0.111
F 0.024 0.380 0.111
F 0.027 0.750 0.066
F 0.076 0.250 0.280
F 0.079 0.060 0.828
F 0.079 0.440 0.828
F 0.122 0.137 0.599
F 0.122 0.363 0.599
F 0.122 0.540 0.609
F 0.122 0.960 0.609
F 0.137 0.750 0.835
F 0.172 0.550 0.062
F 0.172 0.950 0.062
F 0.184 0.250 0.052
F 0.211 0.642 0.284
F 0.211 0.858 0.284
F 0.213 0.034 0.295
F 0.213 0.466 0.295
F 0.287 0.534 0.795
F 0.287 0.966 0.795
F 0.289 0.142 0.784
F 0.289 0.358 0.784
F 0.316 0.750 0.552
F 0.328 0.050 0.562
F 0.328 0.450 0.562
F 0.363 0.250 0.335
F 0.378 0.040 0.109
F 0.378 0.460 0.109
F 0.378 0.637 0.099
F 0.378 0.863 0.099
F 0.421 0.560 0.328
F 0.421 0.940 0.328
F 0.424 0.750 0.780
F 0.473 0.250 0.566
F 0.476 0.620 0.611
F 0.476 0.880 0.611
F 0.524 0.120 0.389
F 0.524 0.380 0.389
F 0.527 0.750 0.434
F 0.576 0.250 0.220
F 0.579 0.060 0.672
F 0.579 0.440 0.672
F 0.622 0.137 0.901
F 0.622 0.363 0.901
F 0.622 0.540 0.891
F 0.622 0.960 0.891
F 0.637 0.750 0.665
F 0.672 0.550 0.438
F 0.672 0.950 0.438
F 0.684 0.250 0.448
F 0.711 0.642 0.216
F 0.711 0.858 0.216
F 0.713 0.034 0.205
F 0.713 0.466 0.205
F 0.787 0.534 0.705
F 0.787 0.966 0.705
F 0.789 0.142 0.716
F 0.789 0.358 0.716
F 0.816 0.750 0.948
F 0.828 0.050 0.938
F 0.828 0.450 0.938
F 0.863 0.250 0.165
F 0.878 0.040 0.391
F 0.878 0.460 0.391
F 0.878 0.637 0.401
F 0.878 0.863 0.401
F 0.921 0.560 0.172
F 0.921 0.940 0.172
F 0.924 0.750 0.720
F 0.973 0.250 0.934
F 0.976 0.620 0.889
F 0.976 0.880 0.889


Compound: Li4V3P8O29
Source: Materials Project
Functional: GGA+U
Structure: optimized geometry

Values from the calculation:
Formation energy from the elements   -2.57 eV/atom

a = 9.801 Å, b = 9.810 Å, c = 14.078 Å
α = 89.82°, β = 89.80°, γ = 60.11°
Sites, in units of the cell vectors:
Li 0.000 0.000 0.000
Li 0.003 0.543 0.498
Li 0.135 0.408 0.994
Li 0.587 0.412 0.498
Li 0.677 0.645 0.617
Li 0.681 0.233 0.115
Li 0.811 0.640 0.115
Li 0.821 0.095 0.615
V 0.337 0.890 0.305
V 0.339 0.317 0.804
V 0.468 0.754 0.809
V 0.469 0.320 0.306
V 0.905 0.888 0.804
V 0.906 0.753 0.308
P 0.135 0.408 0.213
P 0.138 0.006 0.711
P 0.220 0.089 0.898
P 0.220 0.232 0.396
P 0.235 0.654 0.927
P 0.242 0.653 0.427
P 0.573 0.983 0.685
P 0.573 0.986 0.185
P 0.586 0.409 0.716
P 0.590 0.551 0.215
P 0.672 0.639 0.399
P 0.675 0.232 0.898
P 0.816 0.089 0.398
P 0.816 0.640 0.896
P 0.995 0.000 0.217
P 0.996 0.549 0.716
O 0.003 0.702 0.734
O 0.006 0.840 0.233
O 0.087 0.807 0.884
O 0.094 0.647 0.390
O 0.116 0.110 0.805
O 0.117 0.314 0.301
O 0.139 0.324 0.481
O 0.140 0.083 0.622
O 0.141 0.075 0.984
O 0.148 0.330 0.120
O 0.162 0.407 0.720
O 0.162 0.979 0.223
O 0.232 0.666 0.033
O 0.233 0.506 0.890
O 0.242 0.234 0.897
O 0.244 0.797 0.380
O 0.249 0.063 0.391
O 0.254 0.646 0.532
O 0.287 0.418 0.236
O 0.290 0.845 0.733
O 0.382 0.226 0.378
O 0.383 0.937 0.879
O 0.384 0.656 0.881
O 0.395 0.501 0.384
O 0.425 0.986 0.231
O 0.426 0.423 0.733
O 0.429 0.126 0.729
O 0.431 0.703 0.232
O 0.523 0.225 0.879
O 0.523 0.798 0.379
O 0.565 0.405 0.217
O 0.571 0.575 0.719
O 0.571 0.993 0.080
O 0.573 0.138 0.227
O 0.579 0.830 0.725
O 0.591 0.976 0.580
O 0.648 0.239 0.392
O 0.648 0.664 0.891
O 0.661 0.564 0.490
O 0.667 0.323 0.627
O 0.674 0.308 0.989
O 0.677 0.555 0.130
O 0.693 0.526 0.311
O 0.697 0.319 0.807
O 0.720 0.835 0.224
O 0.727 0.985 0.728
O 0.805 0.940 0.379
O 0.810 0.798 0.877
O 0.821 0.656 0.398
O 0.822 0.062 0.892
O 0.893 0.087 0.489
O 0.903 0.565 0.986
O 0.904 0.110 0.307
O 0.906 0.529 0.806
O 0.907 0.564 0.626
O 0.909 0.079 0.127
O 0.989 0.575 0.219
O 0.992 0.979 0.719


Question: The highest formation energy from the elements belongs to which entry?
Answer: Rb2CoO3